No. 1
Computed, not measured: a geometry-optimized LiMnP2O7 structure at the PBE+U level of DFT. Values from VASP.

```
&SYSTEM
  ibrav = 0, nat = 22, ntyp = 4
/
ATOMIC_SPECIES
Li 6.94 Li.upf
Mn 54.94 Mn.upf
P 30.97 P.upf
O 16.00 O.upf
CELL_PARAMETERS angstrom
5.251 0.000 0.000
0.604 7.001 0.000
0.142 3.108 7.488
ATOMIC_POSITIONS crystal
Li 0.000 0.000 0.000
Li 0.435 0.791 0.546
Mn 0.480 0.073 0.722
Mn 0.917 0.603 0.259
P 0.423 0.303 0.296
P 0.471 0.967 0.160
P 0.958 0.725 0.816
P 0.983 0.383 0.686
O 0.009 0.710 0.008
O 0.133 0.353 0.307
O 0.160 0.840 0.693
O 0.270 0.332 0.663
O 0.297 0.842 0.303
O 0.379 0.995 0.972
O 0.459 0.204 0.146
O 0.519 0.121 0.471
O 0.577 0.487 0.234
O 0.678 0.808 0.756
O 0.758 0.891 0.195
O 0.838 0.191 0.773
O 0.861 0.547 0.514
O 0.971 0.488 0.832
```

- raw total energy (eV/f.u.) = -78.09
- total magnetization (μB per formula unit) = 4.0
- crystal system = triclinic
- symmetry = P1, No. 1
- maximum piezoelectric response (C/m²) = 0.7

=====

No. 2
Computed, not measured: a geometry-optimized LiMnPO4 structure at the PBE+U level of DFT. Values from VASP.

```
&SYSTEM
  ibrav = 0, nat = 28, ntyp = 4
/
ATOMIC_SPECIES
Li 6.94 Li.upf
Mn 54.94 Mn.upf
P 30.97 P.upf
O 16.00 O.upf
CELL_PARAMETERS angstrom
8.233 0.000 0.000
0.000 9.138 0.000
0.000 0.000 5.127
ATOMIC_POSITIONS crystal
Li 0.057 0.103 0.000
Li 0.443 0.603 0.500
Li 0.557 0.397 0.000
Li 0.943 0.897 0.500
Mn 0.164 0.525 0.104
Mn 0.336 0.025 0.604
Mn 0.664 0.975 0.104
Mn 0.836 0.475 0.604
P 0.232 0.363 0.654
P 0.268 0.863 0.154
P 0.732 0.137 0.654
P 0.768 0.637 0.154
O 0.073 0.443 0.743
O 0.129 0.954 0.287
O 0.223 0.205 0.764
O 0.247 0.863 0.856
O 0.253 0.363 0.356
O 0.277 0.705 0.264
O 0.371 0.454 0.787
O 0.427 0.943 0.243
O 0.573 0.057 0.743
O 0.629 0.546 0.287
O 0.723 0.295 0.764
O 0.747 0.637 0.856
O 0.753 0.137 0.356
O 0.777 0.795 0.264
O 0.871 0.046 0.787
O 0.927 0.557 0.243
```

- raw total energy (eV/f.u.) = -49.84
- total magnetization (μB per formula unit) = 0.0
- crystal system = orthorhombic
- symmetry = Pna2_1, No. 33

=====

No. 3
Computed, not measured: a geometry-optimized LiMn3P3O12 structure at the PBE+U level of DFT. Values from VASP.

```
&SYSTEM
  ibrav = 0, nat = 76, ntyp = 4
/
ATOMIC_SPECIES
Li 6.94 Li.upf
Mn 54.94 Mn.upf
P 30.97 P.upf
O 16.00 O.upf
CELL_PARAMETERS angstrom
8.653 0.000 0.000
-2.114 8.794 0.000
-2.362 -3.838 11.714
ATOMIC_POSITIONS crystal
Li 0.000 0.000 0.000
Li 0.001 0.743 0.737
Li 0.002 0.487 0.476
Li 0.493 0.626 0.108
Mn 0.113 0.384 0.946
Mn 0.115 0.884 0.444
Mn 0.235 0.012 0.235
Mn 0.239 0.496 0.728
Mn 0.434 0.978 0.854
Mn 0.436 0.481 0.359
Mn 0.568 0.014 0.118
Mn 0.568 0.510 0.619
Mn 0.762 0.989 0.743
Mn 0.776 0.476 0.245
Mn 0.885 0.602 0.030
Mn 0.887 0.103 0.527
P 0.151 0.110 0.738
P 0.156 0.617 0.241
P 0.213 0.267 0.468
P 0.213 0.763 0.968
P 0.366 0.754 0.596
P 0.372 0.258 0.096
P 0.634 0.734 0.880
P 0.635 0.236 0.381
P 0.789 0.725 0.507
P 0.790 0.221 0.006
P 0.845 0.867 0.231
P 0.851 0.378 0.736
O 0.025 0.004 0.779
O 0.036 0.527 0.294
O 0.038 0.761 0.982
O 0.039 0.268 0.486
O 0.089 0.565 0.106
O 0.092 0.066 0.603
O 0.170 0.291 0.789
O 0.177 0.800 0.286
O 0.220 0.658 0.627
O 0.225 0.158 0.123
O 0.228 0.842 0.872
O 0.230 0.098 0.420
O 0.234 0.353 0.376
O 0.239 0.595 0.926
O 0.311 0.842 0.512
O 0.321 0.361 0.021
O 0.323 0.086 0.768
O 0.328 0.589 0.263
O 0.336 0.360 0.588
O 0.339 0.858 0.086
O 0.457 0.635 0.537
O 0.459 0.139 0.033
O 0.499 0.877 0.702
O 0.503 0.610 0.773
O 0.505 0.114 0.273
O 0.505 0.383 0.201
O 0.544 0.855 0.937
O 0.545 0.354 0.441
O 0.666 0.628 0.389
O 0.668 0.128 0.886
O 0.668 0.883 0.196
O 0.680 0.402 0.707
O 0.683 0.648 0.967
O 0.689 0.143 0.462
O 0.770 0.136 0.099
O 0.770 0.895 0.553
O 0.771 0.390 0.054
O 0.774 0.646 0.604
O 0.782 0.828 0.850
O 0.783 0.334 0.354
O 0.816 0.682 0.187
O 0.835 0.198 0.687
O 0.908 0.921 0.366
O 0.910 0.422 0.872
O 0.964 0.726 0.492
O 0.965 0.220 0.989
O 0.968 0.955 0.180
O 0.979 0.485 0.697
```

- raw total energy (eV/f.u.) = -139.15
- total magnetization (μB per formula unit) = 13.0
- crystal system = triclinic
- symmetry = P1, No. 1

=====

No. 4
Computed, not measured: a geometry-optimized LiMnPO4 structure at the PBE+U level of DFT. Values from VASP.

```
&SYSTEM
  ibrav = 0, nat = 28, ntyp = 4
/
ATOMIC_SPECIES
Li 6.94 Li.upf
Mn 54.94 Mn.upf
P 30.97 P.upf
O 16.00 O.upf
CELL_PARAMETERS angstrom
7.268 0.000 0.000
0.000 7.268 0.000
0.000 0.000 7.268
ATOMIC_POSITIONS crystal
Li 0.203 0.297 0.703
Li 0.297 0.703 0.203
Li 0.703 0.203 0.297
Li 0.797 0.797 0.797
Mn 0.244 0.744 0.756
Mn 0.256 0.256 0.256
Mn 0.744 0.756 0.244
Mn 0.756 0.244 0.744
P 0.029 0.971 0.471
P 0.471 0.029 0.971
P 0.529 0.529 0.529
P 0.971 0.471 0.029
O 0.021 0.897 0.674
O 0.103 0.174 0.479
O 0.149 0.851 0.351
O 0.174 0.479 0.103
O 0.326 0.521 0.603
O 0.351 0.149 0.851
O 0.397 0.826 0.979
O 0.479 0.103 0.174
O 0.521 0.603 0.326
O 0.603 0.326 0.521
O 0.649 0.649 0.649
O 0.674 0.021 0.897
O 0.826 0.979 0.397
O 0.851 0.351 0.149
O 0.897 0.674 0.021
O 0.979 0.397 0.826
```

- raw total energy (eV/f.u.) = -49.60
- total magnetization (μB per formula unit) = 5.0
- crystal system = cubic
- symmetry = P2_13, No. 198

=====

No. 5
Computed, not measured: a geometry-optimized Li2MnP2O8 structure at the PBE+U level of DFT. Values from VASP.

```
&SYSTEM
  ibrav = 0, nat = 104, ntyp = 4
/
ATOMIC_SPECIES
Li 6.94 Li.upf
Mn 54.94 Mn.upf
P 30.97 P.upf
O 16.00 O.upf
CELL_PARAMETERS angstrom
8.956 0.000 0.000
0.000 13.436 0.000
0.000 0.000 9.083
ATOMIC_POSITIONS crystal
Li 0.046 0.127 0.226
Li 0.046 0.373 0.726
Li 0.216 0.627 0.459
Li 0.216 0.873 0.959
Li 0.284 0.127 0.459
Li 0.284 0.373 0.959
Li 0.454 0.627 0.226
Li 0.454 0.873 0.726
Li 0.546 0.127 0.274
Li 0.546 0.373 0.774
Li 0.716 0.627 0.041
Li 0.716 0.873 0.541
Li 0.784 0.127 0.041
Li 0.784 0.373 0.541
Li 0.954 0.627 0.274
Li 0.954 0.873 0.774
Mn 0.105 0.624 0.860
Mn 0.105 0.876 0.360
Mn 0.395 0.124 0.860
Mn 0.395 0.376 0.360
Mn 0.605 0.624 0.640
Mn 0.605 0.876 0.140
Mn 0.895 0.124 0.640
Mn 0.895 0.376 0.140
P 0.065 0.220 0.927
P 0.065 0.280 0.427
P 0.186 0.510 0.160
P 0.186 0.990 0.660
P 0.314 0.010 0.160
P 0.314 0.490 0.660
P 0.435 0.720 0.927
P 0.435 0.780 0.427
P 0.565 0.220 0.573
P 0.565 0.280 0.073
P 0.686 0.510 0.340
P 0.686 0.990 0.840
P 0.814 0.010 0.340
P 0.814 0.490 0.840
P 0.935 0.720 0.573
P 0.935 0.780 0.073
O 0.001 0.641 0.476
O 0.001 0.859 0.976
O 0.003 0.219 0.765
O 0.003 0.281 0.265
O 0.021 0.013 0.702
O 0.021 0.487 0.202
O 0.032 0.169 0.479
O 0.032 0.331 0.979
O 0.202 0.526 0.990
O 0.202 0.974 0.490
O 0.224 0.587 0.690
O 0.224 0.913 0.190
O 0.235 0.600 0.247
O 0.235 0.900 0.747
O 0.241 0.221 0.922
O 0.241 0.279 0.422
O 0.259 0.721 0.922
O 0.259 0.779 0.422
O 0.265 0.100 0.247
O 0.265 0.400 0.747
O 0.276 0.087 0.690
O 0.276 0.413 0.190
O 0.298 0.026 0.990
O 0.298 0.474 0.490
O 0.468 0.669 0.479
O 0.468 0.831 0.979
O 0.479 0.513 0.702
O 0.479 0.987 0.202
O 0.497 0.719 0.765
O 0.497 0.781 0.265
O 0.499 0.141 0.476
O 0.499 0.359 0.976
O 0.501 0.641 0.024
O 0.501 0.859 0.524
O 0.503 0.219 0.735
O 0.503 0.281 0.235
O 0.521 0.013 0.798
O 0.521 0.487 0.298
O 0.532 0.169 0.021
O 0.532 0.331 0.521
O 0.702 0.526 0.510
O 0.702 0.974 0.010
O 0.724 0.587 0.810
O 0.724 0.913 0.310
O 0.735 0.600 0.253
O 0.735 0.900 0.753
O 0.741 0.221 0.578
O 0.741 0.279 0.078
O 0.759 0.721 0.578
O 0.759 0.779 0.078
O 0.765 0.100 0.253
O 0.765 0.400 0.753
O 0.776 0.087 0.810
O 0.776 0.413 0.310
O 0.798 0.026 0.510
O 0.798 0.474 0.010
O 0.968 0.669 0.021
O 0.968 0.831 0.521
O 0.979 0.513 0.798
O 0.979 0.987 0.298
O 0.997 0.719 0.735
O 0.997 0.781 0.235
O 0.999 0.141 0.024
O 0.999 0.359 0.524
```

- raw total energy (eV/f.u.) = -88.61
- total magnetization (μB per formula unit) = 3.0
- crystal system = orthorhombic
- symmetry = Pbca, No. 61

=====

No. 6
Computed, not measured: a geometry-optimized LiMnPO4 structure at the PBE+U level of DFT. Values from VASP.

```
&SYSTEM
  ibrav = 0, nat = 28, ntyp = 4
/
ATOMIC_SPECIES
Li 6.94 Li.upf
Mn 54.94 Mn.upf
P 30.97 P.upf
O 16.00 O.upf
CELL_PARAMETERS angstrom
7.950 0.000 0.000
0.000 4.996 0.000
-1.699 0.000 8.333
ATOMIC_POSITIONS crystal
Li 0.137 0.000 0.043
Li 0.343 0.432 0.543
Li 0.657 0.932 0.457
Li 0.863 0.500 0.957
Mn 0.031 0.950 0.678
Mn 0.488 0.368 0.225
Mn 0.512 0.868 0.775
Mn 0.969 0.450 0.322
P 0.229 0.511 0.880
P 0.260 0.962 0.402
P 0.740 0.462 0.598
P 0.771 0.011 0.120
O 0.068 0.679 0.896
O 0.115 0.120 0.464
O 0.185 0.210 0.855
O 0.210 0.665 0.373
O 0.289 0.625 0.727
O 0.295 0.089 0.246
O 0.374 0.565 0.025
O 0.426 0.004 0.534
O 0.574 0.504 0.466
O 0.626 0.065 0.975
O 0.705 0.589 0.754
O 0.711 0.125 0.273
O 0.790 0.165 0.627
O 0.815 0.710 0.145
O 0.885 0.620 0.536
O 0.932 0.179 0.104
```

- raw total energy (eV/f.u.) = -50.06
- total magnetization (μB per formula unit) = 0.0
- crystal system = monoclinic
- symmetry = P2_1, No. 4

=====

No. 7
Computed, not measured: a geometry-optimized LiMnP2O7 structure at the PBE+U level of DFT. Values from VASP.

```
&SYSTEM
  ibrav = 0, nat = 88, ntyp = 4
/
ATOMIC_SPECIES
Li 6.94 Li.upf
Mn 54.94 Mn.upf
P 30.97 P.upf
O 16.00 O.upf
CELL_PARAMETERS angstrom
9.731 0.000 0.000
-0.136 9.839 0.000
-0.009 -1.986 10.895
ATOMIC_POSITIONS crystal
Li 0.000 0.000 0.000
Li 0.005 0.438 0.973
Li 0.221 0.260 0.932
Li 0.401 0.470 0.405
Li 0.515 0.767 0.928
Li 0.528 0.178 0.407
Li 0.827 0.240 0.502
Li 0.907 0.741 0.496
Mn 0.039 0.156 0.288
Mn 0.184 0.549 0.618
Mn 0.337 0.063 0.115
Mn 0.398 0.577 0.117
Mn 0.534 0.050 0.625
Mn 0.684 0.657 0.287
Mn 0.819 0.115 0.784
Mn 0.885 0.628 0.791
P 0.043 0.289 0.709
P 0.046 0.887 0.715
P 0.177 0.811 0.199
P 0.179 0.411 0.196
P 0.256 0.224 0.516
P 0.320 0.964 0.833
P 0.400 0.471 0.831
P 0.464 0.729 0.528
P 0.542 0.914 0.195
P 0.549 0.318 0.188
P 0.667 0.374 0.703
P 0.689 0.782 0.711
P 0.764 0.980 0.378
P 0.821 0.232 0.071
P 0.902 0.731 0.073
P 0.961 0.483 0.384
O 0.006 0.888 0.585
O 0.026 0.740 0.170
O 0.035 0.438 0.680
O 0.043 0.574 0.489
O 0.045 0.481 0.259
O 0.050 0.742 0.756
O 0.052 0.284 0.844
O 0.170 0.133 0.416
O 0.170 0.956 0.151
O 0.173 0.414 0.061
O 0.178 0.221 0.645
O 0.187 0.262 0.224
O 0.200 0.949 0.732
O 0.205 0.819 0.332
O 0.261 0.067 0.948
O 0.266 0.376 0.501
O 0.273 0.722 0.105
O 0.288 0.540 0.763
O 0.304 0.501 0.252
O 0.326 0.658 0.542
O 0.353 0.828 0.863
O 0.365 0.335 0.863
O 0.397 0.166 0.534
O 0.434 0.018 0.262
O 0.435 0.042 0.775
O 0.447 0.228 0.101
O 0.453 0.578 0.944
O 0.458 0.883 0.523
O 0.520 0.326 0.323
O 0.524 0.449 0.733
O 0.524 0.922 0.061
O 0.533 0.764 0.222
O 0.540 0.641 0.419
O 0.547 0.718 0.652
O 0.558 0.466 0.153
O 0.655 0.221 0.737
O 0.675 0.073 0.475
O 0.688 0.365 0.568
O 0.688 0.975 0.246
O 0.692 0.761 0.843
O 0.696 0.246 0.169
O 0.700 0.933 0.689
O 0.773 0.127 0.957
O 0.774 0.456 0.791
O 0.774 0.832 0.399
O 0.782 0.669 0.138
O 0.805 0.688 0.645
O 0.827 0.557 0.366
O 0.858 0.371 0.049
O 0.879 0.868 0.039
O 0.901 0.051 0.364
O 0.919 0.199 0.653
O 0.936 0.157 0.134
O 0.943 0.332 0.397
O 0.946 0.621 0.959
O 0.962 0.986 0.814
```

- raw total energy (eV/f.u.) = -77.64
- total magnetization (μB per formula unit) = 4.0
- crystal system = triclinic
- symmetry = P1, No. 1

=====

No. 8
Computed, not measured: a geometry-optimized LiMnP2O7 structure at the PBE+U level of DFT. Values from VASP.

```
&SYSTEM
  ibrav = 0, nat = 22, ntyp = 4
/
ATOMIC_SPECIES
Li 6.94 Li.upf
Mn 54.94 Mn.upf
P 30.97 P.upf
O 16.00 O.upf
CELL_PARAMETERS angstrom
7.761 -2.489 0.000
7.761 2.489 0.000
-3.191 0.000 8.171
ATOMIC_POSITIONS crystal
Li 0.168 0.832 0.500
Li 0.832 0.168 0.000
Mn 0.192 0.213 0.049
Mn 0.213 0.192 0.549
P 0.471 0.735 0.236
P 0.663 0.937 0.350
P 0.735 0.471 0.736
P 0.937 0.663 0.850
O 0.091 0.500 0.695
O 0.122 0.465 0.984
O 0.252 0.962 0.113
O 0.329 0.879 0.396
O 0.463 0.591 0.668
O 0.465 0.122 0.484
O 0.500 0.091 0.195
O 0.591 0.463 0.168
O 0.667 0.735 0.790
O 0.735 0.667 0.290
O 0.820 0.935 0.905
O 0.879 0.329 0.896
O 0.935 0.820 0.405
O 0.962 0.252 0.613
```

- raw total energy (eV/f.u.) = -77.78
- total magnetization (μB per formula unit) = 4.0
- crystal system = monoclinic
- symmetry = Cc, No. 9
- maximum piezoelectric response (C/m²) = 0.3

=====

- Number 3 is which compound?
  LiMn3P3O12

=====

- Look up the total magnetization of the seventh one.
  4.0 μB per formula unit